{
  "formula": "Sm2US5",
  "functional": "PBE",
  "state": "optimized geometry",
  "cell": [[7.4611, 0.0000, 0.0000], [0.0000, 7.9982, 0.0000], [0.0000, 0.0000, 11.8758]],
  "species": ["S", "S", "S", "S", "S", "S", "S", "S", "S", "S", "S", "S", "S", "S", "S", "S", "S", "S", "S", "S", "U", "U", "U", "U", "Sm", "Sm", "Sm", "Sm", "Sm", "Sm", "Sm", "Sm"],
  "fractional_positions": [[0.3017, 0.7500, 0.7853], [0.3392, 0.0431, 0.0972], [0.8017, 0.2500, 0.7147], [0.6608, 0.5431, 0.9028], [0.6608, 0.9569, 0.9028], [0.9556, 0.2500, 0.9999], [0.6717, 0.7500, 0.1860], [0.6983, 0.2500, 0.2147], [0.3392, 0.4569, 0.0972], [0.1717, 0.2500, 0.3140], [0.1608, 0.4569, 0.5972], [0.8392, 0.5431, 0.4028], [0.1608, 0.0431, 0.5972], [0.4556, 0.7500, 0.5001], [0.3283, 0.2500, 0.8140], [0.8392, 0.9569, 0.4028], [0.5444, 0.2500, 0.4999], [0.1983, 0.7500, 0.2853], [0.8283, 0.7500, 0.6860], [0.0444, 0.7500, 0.0001], [0.4277, 0.7500, 0.0091], [0.9277, 0.2500, 0.4909], [0.5723, 0.2500, 0.9909], [0.0723, 0.7500, 0.5091], [0.9788, 0.0011, 0.1779], [0.9788, 0.4989, 0.1779], [0.0212, 0.5011, 0.8221], [0.4788, 0.9989, 0.3221], [0.0212, 0.9989, 0.8221], [0.5212, 0.0011, 0.6779], [0.5212, 0.4989, 0.6779], [0.4788, 0.5011, 0.3221]],
  "vol_a3_per_cell": 708.69,
  "rho_g_cm3": 6.552,
  "total_energy_ev_per_cell": -222.24
}